No. 1
An optimized crystal structure of Li9Mn2Co5O16, computed with PBE with a Hubbard U.

Cell and atoms, written as CIF:
```
data_Li9Mn2Co5O16
_cell_length_a 5.908
_cell_length_b 7.712
_cell_length_c 7.782
_cell_angle_alpha 65.20
_cell_angle_beta 67.81
_cell_angle_gamma 68.60
_space_group_name_H-M_alt 'P -1'
_space_group_IT_number 2
_space_group_name_Hall '-P 1'
loop_
_atom_site_label
_atom_site_type_symbol
_atom_site_fract_x
_atom_site_fract_y
_atom_site_fract_z
Li1 Li 0.000 0.000 0.000
Li2 Li 0.000 0.500 0.500
Li3 Li 0.124 0.376 0.867
Li4 Li 0.249 0.749 0.750
Li5 Li 0.371 0.132 0.624
Li6 Li 0.500 0.500 0.500
Mn1 Mn 0.245 0.253 0.250
Co1 Co 0.122 0.865 0.376
Co2 Co 0.374 0.619 0.136
Co3 Co 0.500 0.000 0.000
O1 O 0.017 0.762 0.247
O2 O 0.098 0.641 0.631
O3 O 0.144 0.125 0.131
O4 O 0.241 0.016 0.479
O5 O 0.258 0.485 0.018
O6 O 0.372 0.377 0.353
O7 O 0.402 0.862 0.883
O8 O 0.489 0.753 0.250
```

Output
- Crystal system: triclinic
- Polymorph energy (0 for the lowest one): 2.77 eV per formula unit
- Corrected total energy (MP2020 scheme): -207.10 eV per cell
- DFT total energy: -184.58 eV for the cell shown

No. 2
An optimized crystal structure of Li9Mn2Co5O16, computed with PBE with a Hubbard U.

Cell and atoms, written as CIF:
```
data_Li9Mn2Co5O16
_cell_length_a 5.177
_cell_length_b 5.840
_cell_length_c 9.747
_cell_angle_alpha 90.04
_cell_angle_beta 100.49
_cell_angle_gamma 90.29
_space_group_name_H-M_alt 'P -1'
_space_group_IT_number 2
_space_group_name_Hall '-P 1'
loop_
_atom_site_label
_atom_site_type_symbol
_atom_site_fract_x
_atom_site_fract_y
_atom_site_fract_z
Li1 Li 0.000 0.000 0.000
Li2 Li 0.001 0.249 0.500
Li3 Li 0.244 0.992 0.763
Li4 Li 0.254 0.500 0.761
Li5 Li 0.496 0.754 0.000
Mn1 Mn 0.500 0.000 0.500
Mn2 Mn 0.500 0.500 0.500
Co1 Co 0.000 0.500 0.000
Co2 Co 0.231 0.752 0.238
Co3 Co 0.248 0.243 0.238
O1 O 0.104 0.249 0.866
O2 O 0.106 0.732 0.877
O3 O 0.155 0.999 0.379
O4 O 0.162 0.492 0.376
O5 O 0.366 0.503 0.128
O6 O 0.380 0.007 0.140
O7 O 0.388 0.751 0.609
O8 O 0.399 0.251 0.613
```

Output
- Crystal system: triclinic
- Polymorph energy (0 for the lowest one): 1.91 eV per formula unit
- Corrected total energy (MP2020 scheme): -207.95 eV per cell
- DFT total energy: -185.43 eV for the cell shown

No. 3
An optimized crystal structure of Li6V3P8O29, computed with PBE with a Hubbard U.

Cell and atoms, written as CIF:
```
data_Li6V3P8O29
_cell_length_a 9.8207
_cell_length_b 9.8207
_cell_length_c 13.8835
_cell_angle_alpha 90.00
_cell_angle_beta 90.00
_cell_angle_gamma 120.00
_space_group_name_H-M_alt 'P -3 c 1'
_space_group_IT_number 165
_space_group_name_Hall '-P 3 2"c'
loop_
_atom_site_label
_atom_site_type_symbol
_atom_site_fract_x
_atom_site_fract_y
_atom_site_fract_z
Li1 Li 0.0961 0.3246 0.4391
V1 V 0.0000 0.4324 0.2500
P1 P 0.0880 0.3200 0.6580
P2 P 0.3333 0.6667 0.3739
O1 O 0.0000 0.2080 0.7500
O2 O 0.0024 0.2427 0.9331
O3 O 0.0827 0.3354 0.1583
O4 O 0.0988 0.4797 0.6748
O5 O 0.1862 0.5122 0.3328
O6 O 0.3333 0.6667 0.4815
```

Output
- Crystal system: trigonal
- Polymorph energy (0 for the lowest one): 0.00 eV per formula unit
- Corrected total energy (MP2020 scheme): -695.96 eV per cell
- DFT total energy: -645.92 eV for the cell shown

No. 4
An optimized crystal structure of V2CuP2O14, computed with PBE with a Hubbard U.

Cell and atoms, written as CIF:
```
data_V2CuP2O14
_cell_length_a 7.202
_cell_length_b 8.931
_cell_length_c 8.861
_cell_angle_alpha 90.00
_cell_angle_beta 95.23
_cell_angle_gamma 90.00
_space_group_name_H-M_alt 'P 1 21/m 1'
_space_group_IT_number 11
_space_group_name_Hall '-P 2yb'
loop_
_atom_site_label
_atom_site_type_symbol
_atom_site_fract_x
_atom_site_fract_y
_atom_site_fract_z
V1 V 0.082 0.250 0.006
V2 V 0.087 0.750 0.508
Cu1 Cu 0.483 0.750 0.332
P1 P 0.007 0.502 0.750
O1 O 0.122 0.100 0.161
O2 O 0.123 0.597 0.357
O3 O 0.135 0.097 0.860
O4 O 0.136 0.600 0.661
O5 O 0.139 0.250 0.511
O6 O 0.141 0.750 0.023
O7 O 0.399 0.750 0.507
O8 O 0.404 0.250 0.005
O9 O 0.485 0.093 0.771
```

Output
- Crystal system: monoclinic
- Corrected total energy (MP2020 scheme): -266.94 eV per cell
- DFT total energy: -240.90 eV for the cell shown

No. 5
An optimized crystal structure of BaSrYWO6, computed with PBE with a Hubbard U.

Cell and atoms, written as CIF:
```
data_BaSrYWO6
_cell_length_a 5.965
_cell_length_b 5.991
_cell_length_c 8.415
_cell_angle_alpha 89.42
_cell_angle_beta 89.89
_cell_angle_gamma 89.66
_space_group_name_H-M_alt 'P -1'
_space_group_IT_number 2
_space_group_name_Hall '-P 1'
loop_
_atom_site_label
_atom_site_type_symbol
_atom_site_fract_x
_atom_site_fract_y
_atom_site_fract_z
Ba1 Ba 0.020 0.495 0.249
Sr1 Sr 0.478 0.997 0.748
Y1 Y 0.000 0.000 0.000
Y2 Y 0.500 0.500 0.500
W1 W 0.000 0.000 0.500
W2 W 0.500 0.500 0.000
O1 O 0.008 0.055 0.735
O2 O 0.210 0.741 0.525
O3 O 0.238 0.714 0.967
O4 O 0.272 0.205 0.468
O5 O 0.297 0.233 0.029
O6 O 0.500 0.436 0.766
```

Output
- Crystal system: triclinic
- Polymorph energy (0 for the lowest one): 0.00 eV per formula unit
- Corrected total energy (MP2020 scheme): -168.09 eV per cell
- DFT total energy: -150.97 eV for the cell shown

No. 6
An optimized crystal structure of K2VO2F3, computed with PBE with a Hubbard U.

Cell and atoms, written as CIF:
```
data_K2VO2F3
_cell_length_a 7.518
_cell_length_b 5.775
_cell_length_c 11.571
_cell_angle_alpha 90.00
_cell_angle_beta 90.00
_cell_angle_gamma 90.00
_space_group_name_H-M_alt 'P n m a'
_space_group_IT_number 62
_space_group_name_Hall '-P 2ac 2n'
loop_
_atom_site_label
_atom_site_type_symbol
_atom_site_fract_x
_atom_site_fract_y
_atom_site_fract_z
K1 K 0.027 0.250 0.216
K2 K 0.186 0.750 0.413
V1 V 0.200 0.750 0.070
O1 O 0.178 0.023 0.612
F1 F 0.000 0.000 0.000
F2 F 0.036 0.750 0.194
F3 F 0.231 0.250 0.409
```

Output
- Crystal system: orthorhombic
- Corrected total energy (MP2020 scheme): -197.46 eV per cell
- DFT total energy: -179.62 eV for the cell shown

No. 7
An optimized crystal structure of Sr2VFeAsO3, computed with PBE with a Hubbard U.

Cell and atoms, written as CIF:
```
data_Sr2VFeAsO3
_cell_length_a 4.015
_cell_length_b 4.015
_cell_length_c 16.477
_cell_angle_alpha 90.00
_cell_angle_beta 90.00
_cell_angle_gamma 90.00
_space_group_name_H-M_alt 'P 4/n m m'
_space_group_IT_number 129
loop_
_space_group_symop_operation_xyz
'x,y,z'
'-x,-y,-z'
'-y+1/2,x,z'
'y+1/2,-x,-z'
'-x+1/2,-y+1/2,z'
'x+1/2,y+1/2,-z'
'y,-x+1/2,z'
'-y,x+1/2,-z'
'x+1/2,-y,-z'
'-x+1/2,y,z'
'-y,-x,-z'
'y,x,z'
'-x,y+1/2,-z'
'x,-y+1/2,z'
'y+1/2,x+1/2,-z'
'-y+1/2,-x+1/2,z'
loop_
_atom_site_label
_atom_site_type_symbol
_atom_site_fract_x
_atom_site_fract_y
_atom_site_fract_z
Sr1 Sr 0.250 0.250 0.080
Sr2 Sr 0.250 0.250 0.299
V1 V 0.250 0.250 0.812
Fe1 Fe 0.250 0.750 0.500
As1 As 0.250 0.250 0.600
O1 O 0.250 0.250 0.933
O2 O 0.250 0.750 0.203
```

Output
- Crystal system: tetragonal
- Corrected total energy (MP2020 scheme): -113.37 eV per cell
- DFT total energy: -101.34 eV for the cell shown

No. 8
An optimized crystal structure of Co3P2O8, computed with PBE with a Hubbard U.

Cell and atoms, written as CIF:
```
data_Co3P2O8
_cell_length_a 5.086
_cell_length_b 8.457
_cell_length_c 8.895
_cell_angle_alpha 90.00
_cell_angle_beta 120.03
_cell_angle_gamma 90.00
_space_group_name_H-M_alt 'P 1 21/c 1'
_space_group_IT_number 14
_space_group_name_Hall '-P 2ybc'
loop_
_atom_site_label
_atom_site_type_symbol
_atom_site_fract_x
_atom_site_fract_y
_atom_site_fract_z
Co1 Co 0.000 0.000 0.000
Co2 Co 0.021 0.142 0.610
P1 P 0.337 0.691 0.303
O1 O 0.188 0.578 0.143
O2 O 0.191 0.641 0.748
O3 O 0.269 0.637 0.446
O4 O 0.315 0.193 0.125
```

Output
- Crystal system: monoclinic
- Polymorph energy (0 for the lowest one): 0.00 eV per formula unit
- Corrected total energy (MP2020 scheme): -199.69 eV per cell
- DFT total energy: -178.87 eV for the cell shown

No. 9
An optimized crystal structure of Li6Mn5SbO12, computed with PBE with a Hubbard U.

Cell and atoms, written as CIF:
```
data_Li6Mn5SbO12
_cell_length_a 5.533
_cell_length_b 9.077
_cell_length_c 10.540
_cell_angle_alpha 90.00
_cell_angle_beta 98.70
_cell_angle_gamma 90.00
_space_group_name_H-M_alt 'P 1 2 1'
_space_group_IT_number 3
_space_group_name_Hall 'P 2y'
loop_
_atom_site_label
_atom_site_type_symbol
_atom_site_fract_x
_atom_site_fract_y
_atom_site_fract_z
Li1 Li 0.246 0.000 0.284
Li2 Li 0.249 0.166 0.712
Li3 Li 0.249 0.327 0.285
Li4 Li 0.251 0.665 0.288
Li5 Li 0.251 0.827 0.715
Li6 Li 0.254 0.499 0.716
Mn1 Mn 0.000 0.165 0.000
Mn2 Mn 0.000 0.331 0.500
Mn3 Mn 0.000 0.664 0.500
Mn4 Mn 0.000 0.829 0.000
Mn5 Mn 0.000 0.997 0.500
Mn6 Mn 0.500 0.164 0.500
Mn7 Mn 0.500 0.330 0.000
Mn8 Mn 0.500 0.497 0.500
Mn9 Mn 0.500 0.666 0.000
Mn10 Mn 0.500 0.831 0.500
Sb1 Sb 0.000 0.500 0.000
Sb2 Sb 0.500 0.001 0.000
O1 O 0.092 0.497 0.391
O2 O 0.100 0.818 0.384
O3 O 0.101 0.177 0.385
O4 O 0.166 0.330 0.102
O5 O 0.186 0.651 0.110
O6 O 0.207 0.009 0.099
O7 O 0.293 0.510 0.901
O8 O 0.315 0.152 0.890
O9 O 0.333 0.830 0.898
O10 O 0.398 0.677 0.615
O11 O 0.401 0.318 0.616
O12 O 0.408 0.997 0.609
```

Output
- Crystal system: monoclinic
- Polymorph energy (0 for the lowest one): 0.08 eV per formula unit
- Corrected total energy (MP2020 scheme): -342.97 eV per cell
- DFT total energy: -309.81 eV for the cell shown

No. 10
An optimized crystal structure of Li2V3WO8, computed with PBE with a Hubbard U.

Cell and atoms, written as CIF:
```
data_Li2V3WO8
_cell_length_a 5.9967
_cell_length_b 5.9967
_cell_length_c 9.8040
_cell_angle_alpha 90.00
_cell_angle_beta 90.00
_cell_angle_gamma 120.00
_space_group_name_H-M_alt 'P 63 m c'
_space_group_IT_number 186
_space_group_name_Hall 'P 6c -2c'
loop_
_atom_site_label
_atom_site_type_symbol
_atom_site_fract_x
_atom_site_fract_y
_atom_site_fract_z
Li1 Li 0.0000 0.0000 0.0000
Li2 Li 0.3333 0.6667 0.4085
V1 V 0.1706 0.3412 0.7213
W1 W 0.3333 0.6667 0.9932
O1 O 0.0000 0.0000 0.3155
O2 O 0.0379 0.5190 0.8522
O3 O 0.1721 0.3442 0.1008
O4 O 0.3333 0.6667 0.6148
```

Output
- Crystal system: hexagonal
- Polymorph energy (0 for the lowest one): 0.03 eV per formula unit
- Corrected total energy (MP2020 scheme): -235.03 eV per cell
- DFT total energy: -204.97 eV for the cell shown

- Which formula does entry 10 have?
  Li2V3WO8

- What is the corrected total energy (MP2020 scheme) in the fifth record?
  -168.09 eV per cell

- Which value of DFT total energy does entry 8 give?
  -178.87 eV for the cell shown